# In2Hg5Te8 (r²SCAN, relaxed)
data_In2Hg5Te8
_chemical_formula_sum 'In4 Hg10 Te16'
_space_group_name_H-M_alt 'I -4 m 2'
_space_group_IT_number 119
_space_group_name_Hall 'I -4 -2'
_cell_length_a 9.161
_cell_length_b 9.161
_cell_length_c 12.777
_cell_angle_alpha 90.00
_cell_angle_beta 90.00
_cell_angle_gamma 90.00
loop_
_atom_site_label
_atom_site_fract_x
_atom_site_fract_y
_atom_site_fract_z
In1 0.000 0.000 0.246
Hg1 0.000 0.500 0.750
Hg2 0.227 0.227 0.000
Te1 0.000 0.248 0.620
Te2 0.000 0.271 0.142
# - Energy of formation: -293 meV per atom
# - Theoretical density: 6.979 g/cm³
# - Total DFT energy (no corrections): -33.315 eV/atom